# 1
! LiTaWO6 (GGA+U, optimized geometry); values from VASP
! - Piezoelectric modulus e_max: 0.796 C/m²
! - ΔE to the lowest computed polymorph: 0 meV per atom
&SYSTEM
  ibrav = 0, nat = 36, ntyp = 4
/
ATOMIC_SPECIES
Li 6.94 Li.upf
Ta 180.95 Ta.upf
W 183.84 W.upf
O 16.00 O.upf
CELL_PARAMETERS angstrom
7.444 0.000 0.000
0.000 7.444 0.000
0.000 0.000 10.448
ATOMIC_POSITIONS angstrom
Li 0.000 2.701 0.000
Li 0.000 4.742 5.224
Li 2.701 0.000 7.836
Li 4.742 0.000 2.612
Ta 0.000 1.796 5.224
Ta 0.000 5.648 0.000
Ta 1.796 0.000 2.612
Ta 5.648 0.000 7.836
W 1.845 3.722 2.612
W 3.722 1.845 5.224
W 3.722 5.598 0.000
W 5.598 3.722 7.836
O 0.445 0.445 3.918
O 0.445 6.998 1.306
O 0.485 3.323 3.960
O 0.485 4.120 1.264
O 1.809 1.898 1.991
O 1.809 5.545 3.233
O 1.898 1.809 5.845
O 1.898 5.634 9.827
O 3.194 3.194 3.918
O 3.194 4.250 1.306
O 3.323 0.485 3.876
O 3.323 6.959 1.348
O 4.120 0.485 6.572
O 4.120 6.959 9.100
O 4.250 3.194 6.530
O 4.250 4.250 9.142
O 5.545 1.809 4.603
O 5.545 5.634 0.621
O 5.634 1.898 8.457
O 5.634 5.545 7.215
O 6.959 3.323 6.488
O 6.959 4.120 9.184
O 6.998 0.445 6.530
O 6.998 6.998 9.142

# 2
Density functional theory data (GGA+U) for a relaxed Mn2ClO3 crystal. Values from VASP.

Quantum ESPRESSO input file:
```
&SYSTEM
  ibrav = 0, nat = 24, ntyp = 3
/
ATOMIC_SPECIES
Mn 54.94 Mn.upf
Cl 35.45 Cl.upf
O 16.00 O.upf
CELL_PARAMETERS angstrom
5.936 0.000 0.000
0.000 6.685 0.000
0.000 0.000 8.502
ATOMIC_POSITIONS angstrom
Mn 0.000 0.000 0.000
Mn 0.000 3.343 0.000
Mn 1.154 1.671 2.135
Mn 1.814 5.014 6.386
Mn 2.968 0.000 4.251
Mn 2.968 3.343 4.251
Mn 4.122 1.671 2.116
Mn 4.782 5.014 6.367
Cl 0.974 1.671 4.495
Cl 1.994 5.014 0.244
Cl 3.942 1.671 8.258
Cl 4.962 5.014 4.007
O 0.307 3.743 6.584
O 0.307 6.285 6.584
O 1.071 1.671 0.196
O 1.897 5.014 4.447
O 2.661 0.401 2.332
O 2.661 2.942 2.332
O 3.275 3.743 6.170
O 3.275 6.285 6.170
O 4.039 1.671 4.055
O 4.865 5.014 8.306
O 5.629 0.401 1.919
O 5.629 2.942 1.919
```

# 3
! Li3Mn2FeB3O9 (GGA+U, optimized geometry); values from VASP
! - ΔE to the lowest computed polymorph: 2 meV per atom
&SYSTEM
  ibrav = 0, nat = 36, ntyp = 5
/
ATOMIC_SPECIES
Li 6.94 Li.upf
Mn 54.94 Mn.upf
Fe 55.84 Fe.upf
B 10.81 B.upf
O 16.00 O.upf
CELL_PARAMETERS angstrom
8.254 0.000 0.000
0.000 3.171 0.000
-0.016 0.000 14.317
ATOMIC_POSITIONS angstrom
Li 0.000 0.000 0.000
Li 0.212 0.000 4.191
Li 0.607 0.000 9.436
Li 4.132 0.000 7.153
Li 4.345 0.000 11.351
Li 4.753 0.000 2.284
Mn 1.454 1.585 6.742
Mn 1.593 1.585 11.969
Mn 1.936 1.585 2.069
Mn 6.038 1.585 9.232
Fe 5.599 1.585 13.902
Fe 5.711 1.585 4.789
B 3.028 1.585 9.315
B 3.052 0.000 4.541
B 3.045 0.000 14.082
B 7.144 0.000 6.914
B 7.144 0.000 11.718
B 7.153 1.585 2.169
O 0.036 1.585 2.964
O 0.138 0.000 12.328
O 0.155 0.000 7.503
O 1.748 1.585 9.874
O 1.896 0.000 5.310
O 1.912 0.000 0.563
O 2.911 0.000 12.696
O 2.957 0.000 3.155
O 3.183 1.585 7.930
O 4.148 1.585 10.143
O 4.301 0.000 5.152
O 4.323 0.000 0.344
O 5.891 1.585 2.762
O 5.992 0.000 12.498
O 6.012 0.000 7.728
O 7.009 0.000 5.532
O 7.054 0.000 10.333
O 7.265 1.585 0.776

# 4
Density functional theory data (GGA+U) for a relaxed Li3Mn4CrO8 crystal. Values from VASP.

Quantum ESPRESSO input file:
```
&SYSTEM
  ibrav = 0, nat = 16, ntyp = 4
/
ATOMIC_SPECIES
Li 6.94 Li.upf
Mn 54.94 Mn.upf
Cr 52.00 Cr.upf
O 16.00 O.upf
CELL_PARAMETERS angstrom
5.372 -2.995 0.000
5.372 2.995 0.000
-3.331 0.000 4.989
ATOMIC_POSITIONS angstrom
Li 0.000 0.000 0.000
Li 1.020 1.498 2.494
Li 1.020 -1.498 2.494
Mn -1.665 0.000 2.494
Mn 2.686 1.498 0.000
Mn 2.686 -1.498 0.000
Mn 5.372 0.000 0.000
Cr 3.706 0.000 2.494
O 0.116 0.000 3.831
O 2.859 1.447 3.675
O 4.554 1.447 1.314
O 2.065 0.000 1.246
O 5.348 0.000 3.743
O 2.859 -1.447 3.675
O 4.554 -1.447 1.314
O 7.297 0.000 1.158
```

# 5
! NaTiFeO4 (GGA+U, optimized geometry); values from VASP
! - ΔE to the lowest computed polymorph: 0 meV per atom
&SYSTEM
  ibrav = 0, nat = 28, ntyp = 4
/
ATOMIC_SPECIES
Na 22.99 Na.upf
Ti 47.87 Ti.upf
Fe 55.84 Fe.upf
O 16.00 O.upf
CELL_PARAMETERS angstrom
2.993 0.000 0.000
0.000 10.847 0.000
0.000 0.000 9.298
ATOMIC_POSITIONS angstrom
Na 0.000 1.047 0.000
Na 0.000 9.799 4.649
Na 1.496 4.357 4.795
Na 1.496 6.490 0.146
Ti 0.000 1.491 2.970
Ti 0.000 3.825 7.829
Ti 0.000 7.021 3.180
Ti 0.000 9.356 7.620
Fe 1.496 1.576 6.283
Fe 1.496 3.931 1.794
Fe 1.496 6.915 6.443
Fe 1.496 9.271 1.634
O 0.000 0.324 6.836
O 0.000 2.936 6.040
O 0.000 3.447 3.109
O 0.000 4.337 0.451
O 0.000 6.510 5.100
O 0.000 7.399 7.758
O 0.000 7.911 1.391
O 0.000 10.522 2.187
O 1.496 1.088 4.257
O 1.496 1.879 1.703
O 1.496 2.543 8.158
O 1.496 5.024 7.295
O 1.496 5.823 2.646
O 1.496 8.303 3.509
O 1.496 8.967 6.352
O 1.496 9.758 8.906

# 6
Density functional theory data (GGA+U) for a relaxed FeH9S2O12 crystal. Values from VASP.

Quantum ESPRESSO input file:
```
&SYSTEM
  ibrav = 0, nat = 96, ntyp = 4
/
ATOMIC_SPECIES
Fe 55.84 Fe.upf
H 1.01 H.upf
S 32.06 S.upf
O 16.00 O.upf
CELL_PARAMETERS angstrom
9.765 0.000 0.000
0.000 18.369 0.000
0.000 0.000 5.560
ATOMIC_POSITIONS angstrom
Fe 0.000 0.000 0.000
Fe 0.000 9.185 0.000
Fe 4.882 0.000 2.780
Fe 4.882 9.185 2.780
H 0.052 4.592 0.357
H 0.730 11.070 3.806
H 0.730 16.484 3.806
H 0.848 1.787 1.868
H 0.848 7.397 1.868
H 1.650 3.766 0.295
H 1.650 5.419 0.295
H 1.824 12.974 5.546
H 1.824 14.580 5.546
H 3.059 3.790 2.766
H 3.059 5.395 2.766
H 3.232 12.950 3.075
H 3.232 14.604 3.075
H 4.034 10.972 4.648
H 4.034 16.582 4.648
H 4.153 1.885 1.026
H 4.153 7.299 1.026
H 4.830 13.777 3.137
H 4.934 4.592 2.423
H 5.612 11.070 4.533
H 5.612 16.484 4.533
H 5.731 1.787 0.911
H 5.731 7.397 0.911
H 6.533 3.766 2.485
H 6.533 5.419 2.485
H 6.706 12.974 2.794
H 6.706 14.580 2.794
H 7.941 3.790 0.014
H 7.941 5.395 0.014
H 8.114 12.950 5.265
H 8.114 14.604 5.265
H 8.916 10.972 3.691
H 8.916 16.582 3.691
H 9.035 1.885 1.754
H 9.035 7.299 1.754
H 9.713 13.777 5.203
S 2.306 10.814 1.601
S 2.306 16.740 1.601
S 2.576 1.629 4.381
S 2.576 7.555 4.381
S 7.188 10.814 1.179
S 7.188 16.740 1.179
S 7.459 1.629 3.958
S 7.459 7.555 3.958
O 0.094 1.689 1.236
O 0.094 7.495 1.236
O 0.913 10.302 1.372
O 0.913 17.252 1.372
O 1.134 4.592 0.551
O 1.305 13.777 5.287
O 1.722 0.422 4.647
O 1.722 8.762 4.647
O 2.075 2.359 3.203
O 2.075 6.826 3.203
O 2.227 11.675 2.805
O 2.227 15.879 2.805
O 2.655 2.491 0.025
O 2.655 6.694 0.025
O 2.807 11.544 0.423
O 2.807 16.010 0.423
O 3.161 9.607 1.867
O 3.161 17.947 1.867
O 3.578 4.592 2.507
O 3.748 13.777 3.331
O 3.969 1.117 4.152
O 3.969 8.067 4.152
O 4.789 10.874 4.016
O 4.789 16.680 4.016
O 4.976 1.689 1.544
O 4.976 7.495 1.544
O 5.795 10.302 1.408
O 5.795 17.252 1.408
O 6.017 4.592 2.229
O 6.187 13.777 3.053
O 6.604 0.422 3.693
O 6.604 8.762 3.693
O 6.958 2.359 5.137
O 6.958 6.826 5.137
O 7.110 11.675 5.535
O 7.110 15.879 5.535
O 7.538 2.491 2.755
O 7.538 6.694 2.755
O 7.690 11.544 2.357
O 7.690 16.010 2.357
O 8.043 9.607 0.913
O 8.043 17.947 0.913
O 8.460 4.592 0.273
O 8.631 13.777 5.009
O 8.852 1.117 4.188
O 8.852 8.067 4.188
O 9.671 10.874 4.324
O 9.671 16.680 4.324
```

| no. | mass density (Mg/m³) | ΔH_f (0 K) (eV/atom) |
| --- | --- | --- |
| 1 | 5.367 | -2.6613 |
| 2 | 3.806 | -1.6021 |
| 3 | 3.218 | -2.4493 |
| 4 | 4.350 | -2.1377 |
| 5 | 4.197 | -2.5454 |
| 6 | 2.138 | -1.5226 |